Material: CsSn
Method: DFT, PBE
State: relaxed

Computed properties:
E_form, eV/atom: -0.298
Volume, Å³/cell: 1544
SG: I4_1/acd, No. 142

Lattice parameters (Å, degrees): 13.361 13.361 13.361 124.90 124.90 81.70
Fractional coordinates of all 32 atoms:
Cs1 0.004 0.254 0.508
Cs2 0.110 0.750 0.860
Cs3 0.246 0.496 0.992
Cs4 0.250 0.110 0.860
Cs5 0.250 0.610 0.360
Cs6 0.254 0.246 0.250
Cs7 0.390 0.250 0.640
Cs8 0.496 0.004 0.250
Cs9 0.504 0.996 0.750
Cs10 0.610 0.750 0.360
Cs11 0.746 0.754 0.750
Cs12 0.750 0.390 0.640
Cs13 0.750 0.890 0.140
Cs14 0.754 0.504 0.008
Cs15 0.890 0.250 0.140
Cs16 0.996 0.746 0.492
Sn1 0.011 0.718 0.084
Sn2 0.073 0.989 0.207
Sn3 0.134 0.927 0.416
Sn4 0.218 0.511 0.584
Sn5 0.282 0.866 0.293
Sn6 0.366 0.782 0.793
Sn7 0.427 0.634 0.916
Sn8 0.489 0.573 0.707
Sn9 0.511 0.427 0.293
Sn10 0.573 0.366 0.084
Sn11 0.634 0.218 0.207
Sn12 0.718 0.134 0.707
Sn13 0.782 0.489 0.416
Sn14 0.866 0.073 0.584
Sn15 0.927 0.011 0.793
Sn16 0.989 0.282 0.916